First-principles (PBE) data for a relaxed ZrTiO3 crystal, as listed in Materials Project.

The structure in POSCAR format:
```
ZrTiO3
1.0
3.8591 0.0000 0.0000
0.0000 3.8591 0.0000
0.0000 0.0000 3.8591
Zr Ti O
1 1 3
Direct
0.0000 0.0000 0.0000 Zr
0.5000 0.5000 0.5000 Ti
0.0000 0.5000 0.5000 O
0.5000 0.0000 0.5000 O
0.5000 0.5000 0.0000 O
```

Summary:
As for the space-group type: No. 221. The value obtained for the total magnetization is 0.1 μB per formula unit.



First-principles (PBE) data for a relaxed WBr5 crystal, as listed in Materials Project.

The structure in POSCAR format:
```
WBr5
1.0
10.3741 -9.6366 0.0000
10.3741 9.6366 0.0000
-0.0294 0.0000 6.4692
W Br
6 30
Direct
0.1065 0.8935 0.0000 W
0.2265 0.4401 0.5191 W
0.4401 0.2265 0.5191 W
0.5599 0.7735 0.4809 W
0.7735 0.5599 0.4809 W
0.8935 0.1065 0.0000 W
0.0007 0.1922 0.7842 Br
0.0478 0.0478 0.2201 Br
0.0926 0.4710 0.7500 Br
0.1382 0.7601 0.7659 Br
0.1405 0.3330 0.2995 Br
0.1922 0.0007 0.7842 Br
0.1963 0.5728 0.2846 Br
0.2399 0.8618 0.2341 Br
0.2858 0.2858 0.7364 Br
0.3330 0.1405 0.2995 Br
0.3331 0.5267 0.7377 Br
0.3807 0.3807 0.3021 Br
0.4272 0.8037 0.7154 Br
0.4710 0.0926 0.7500 Br
0.4733 0.6669 0.2623 Br
0.5267 0.3331 0.7377 Br
0.5290 0.9074 0.2500 Br
0.5728 0.1963 0.2846 Br
0.6193 0.6193 0.6979 Br
0.6669 0.4733 0.2623 Br
0.6670 0.8595 0.7005 Br
0.7142 0.7142 0.2636 Br
0.7601 0.1382 0.7659 Br
0.8037 0.4272 0.7154 Br
0.8078 0.9993 0.2158 Br
0.8595 0.6670 0.7005 Br
0.8618 0.2399 0.2341 Br
0.9074 0.5290 0.2500 Br
0.9522 0.9522 0.7799 Br
0.9993 0.8078 0.2158 Br
```

Summary:
As for the space-group type: No. 12. The value obtained for the total magnetization is 1.0 μB per formula unit. For the energy above the most stable polymorph in this dataset, the calculation gives 0.0 kJ/mol of atoms.



| no. | ΔH_f (0 K) (eV per atom) | total energy after the MP2020 corrections (eV/atom) | E_tot (eV per atom) |
| --- | --- | --- | --- |
| 1 | -2.73 | -8.987 | -8.5746 |
| 2 | -0.91 | -4.436 | -3.9908 |